DFT (GGA-PBE) results for an optimized crystal structure of Ti3CuO8.

The structure in CIF format:
```
data_Ti3CuO8
_chemical_formula_sum 'Ti3 Cu1 O8'
_cell_length_a 3.8082
_cell_length_b 3.8082
_cell_length_c 9.5849
_cell_angle_alpha 90.00
_cell_angle_beta 90.00
_cell_angle_gamma 90.00
_space_group_name_H-M_alt 'P -4 m 2'
_space_group_IT_number 115
loop_
_space_group_symop_operation_xyz
'x,y,z'
'y,-x,-z'
'-x,-y,z'
'-y,x,-z'
'-x,y,z'
'-y,-x,-z'
'x,-y,z'
'y,x,-z'
loop_
_atom_site_label
_atom_site_type_symbol
_atom_site_fract_x
_atom_site_fract_y
_atom_site_fract_z
Ti1 Ti 0.0000 0.0000 0.0000
Ti2 Ti 0.0000 0.5000 0.2542
Cu1 Cu 0.5000 0.5000 0.5000
O1 O 0.0000 0.0000 0.2087
O2 O 0.0000 0.5000 0.0424
O3 O 0.0000 0.5000 0.4586
O4 O 0.5000 0.5000 0.3010
```

Results
Corrected total energy (MP2020 scheme) (eV per atom): -8.33

---

DFT (GGA-PBE) results for an optimized crystal structure of LuPPd.

The structure in CIF format:
```
data_LuPPd
_chemical_formula_sum 'Lu4 P4 Pd4'
_cell_length_a 6.7887
_cell_length_b 3.9576
_cell_length_c 7.6969
_cell_angle_alpha 90.00
_cell_angle_beta 90.00
_cell_angle_gamma 90.00
_space_group_name_H-M_alt 'P n m a'
_space_group_IT_number 62
loop_
_space_group_symop_operation_xyz
'x,y,z'
'-x,-y,-z'
'-x+1/2,-y,z+1/2'
'x+1/2,y,-z+1/2'
'x+1/2,-y+1/2,-z+1/2'
'-x+1/2,y+1/2,z+1/2'
'-x,y+1/2,-z'
'x,-y+1/2,z'
loop_
_atom_site_label
_atom_site_type_symbol
_atom_site_fract_x
_atom_site_fract_y
_atom_site_fract_z
Lu1 Lu 0.0303 0.2500 0.1849
P1 P 0.2504 0.2500 0.8756
Pd1 Pd 0.1460 0.2500 0.5622
```

---

DFT (GGA-PBE) results for an optimized crystal structure of LiTiO2.

The structure in CIF format:
```
data_LiTiO2
_chemical_formula_sum 'Li16 Ti16 O32'
_cell_length_a 7.7634
_cell_length_b 8.7418
_cell_length_c 10.4877
_cell_angle_alpha 114.55
_cell_angle_beta 90.01
_cell_angle_gamma 101.26
_space_group_name_H-M_alt 'P 1'
_space_group_IT_number 1
loop_
_space_group_symop_operation_xyz
'x,y,z'
loop_
_atom_site_label
_atom_site_type_symbol
_atom_site_fract_x
_atom_site_fract_y
_atom_site_fract_z
Li1 Li 0.0000 0.0000 0.0000
Li2 Li 0.0081 0.3532 0.0029
Li3 Li 0.0195 0.6721 0.0114
Li4 Li 0.1101 0.7341 0.7465
Li5 Li 0.1700 0.7914 0.5156
Li6 Li 0.2555 0.8533 0.2539
Li7 Li 0.2654 0.1779 0.2655
Li8 Li 0.3536 0.2338 0.9918
Li9 Li 0.4181 0.2914 0.7684
Li10 Li 0.5084 0.3442 0.4983
Li11 Li 0.5230 0.6754 0.5102
Li12 Li 0.6041 0.7372 0.2535
Li13 Li 0.6636 0.7856 0.0118
Li14 Li 0.7656 0.1734 0.7668
Li15 Li 0.8510 0.2347 0.4961
Li16 Li 0.9199 0.2979 0.2733
Ti1 Ti 0.0738 0.0639 0.7641
Ti2 Ti 0.0822 0.3994 0.7574
Ti3 Ti 0.1902 0.1228 0.5042
Ti4 Ti 0.1945 0.4593 0.4973
Ti5 Ti 0.3385 0.5704 0.0196
Ti6 Ti 0.3407 0.9100 0.0154
Ti7 Ti 0.4454 0.6206 0.7486
Ti8 Ti 0.4467 0.9535 0.7413
Ti9 Ti 0.5838 0.3952 0.2532
Ti10 Ti 0.5862 0.0688 0.2591
Ti11 Ti 0.6787 0.1242 0.0135
Ti12 Ti 0.6902 0.4593 0.9993
Ti13 Ti 0.8382 0.5768 0.5258
Ti14 Ti 0.8389 0.9091 0.5160
Ti15 Ti 0.9298 0.9541 0.2519
Ti16 Ti 0.9387 0.6216 0.2537
O1 O 0.0404 0.5436 0.3911
O2 O 0.0584 0.2063 0.3765
O3 O 0.0617 0.8706 0.3840
O4 O 0.1286 0.9303 0.1240
O5 O 0.1384 0.5979 0.1359
O6 O 0.2142 0.3232 0.8898
O7 O 0.2195 0.6519 0.8805
O8 O 0.2242 0.9804 0.8766
O9 O 0.2860 0.0450 0.6432
O10 O 0.3130 0.3714 0.6344
O11 O 0.3134 0.7092 0.6225
O12 O 0.3848 0.0948 0.3831
O13 O 0.3849 0.4302 0.3797
O14 O 0.4473 0.1590 0.1306
O15 O 0.4643 0.8168 0.1398
O16 O 0.4816 0.4855 0.1271
O17 O 0.5415 0.5433 0.8892
O18 O 0.5488 0.8728 0.8850
O19 O 0.5598 0.2058 0.8761
O20 O 0.6306 0.9350 0.6267
O21 O 0.6344 0.5851 0.6304
O22 O 0.7153 0.3203 0.3870
O23 O 0.7182 0.6515 0.3818
O24 O 0.7312 0.9824 0.3775
O25 O 0.8026 0.0371 0.1310
O26 O 0.8074 0.7081 0.1249
O27 O 0.8144 0.3715 0.1350
O28 O 0.8860 0.4314 0.8802
O29 O 0.8977 0.1024 0.8945
O30 O 0.9589 0.1574 0.6326
O31 O 0.9671 0.8157 0.6376
O32 O 0.9846 0.4851 0.6270
```

Results
Corrected total energy (MP2020 scheme) (eV per atom): -7.84

---

DFT (GGA-PBE) results for an optimized crystal structure of Ho2MgSe4.

The structure in CIF format:
```
data_Ho2MgSe4
_chemical_formula_sum 'Ho8 Mg4 Se16'
_cell_length_a 8.0452
_cell_length_b 7.7753
_cell_length_c 12.0848
_cell_angle_alpha 90.00
_cell_angle_beta 90.00
_cell_angle_gamma 90.00
_space_group_name_H-M_alt 'P n m a'
_space_group_IT_number 62
loop_
_space_group_symop_operation_xyz
'x,y,z'
'-x,-y,-z'
'-x+1/2,-y,z+1/2'
'x+1/2,y,-z+1/2'
'x+1/2,-y+1/2,-z+1/2'
'-x+1/2,y+1/2,z+1/2'
'-x,y+1/2,-z'
'x,-y+1/2,z'
loop_
_atom_site_label
_atom_site_type_symbol
_atom_site_fract_x
_atom_site_fract_y
_atom_site_fract_z
Ho1 Ho 0.0474 0.2500 0.0172
Ho2 Ho 0.0664 0.7500 0.3096
Mg1 Mg 0.1688 0.2500 0.3976
Se1 Se 0.1221 0.7500 0.5397
Se2 Se 0.1242 0.5035 0.8420
Se3 Se 0.2420 0.7500 0.1113
```

Results
Corrected total energy (MP2020 scheme) (eV per atom): -5.26
Offset from the most stable computed form (eV per atom): 0.238

---

no.,raw total energy (eV per atom),mass density (g/cm3),DFT formation energy (eV per atom)
1,-7.88,4.00,-2.719
2,-6.30,10.03,-1.263
3,-7.50,3.65,-2.917
4,-4.99,5.89,-1.723